Record 1
LiMn2F5 | PBE+U | relaxed

The structure in extended XYZ format:
```
48
Lattice="5.775 -5.368 0.000 5.775 5.368 0.000 -0.351 0.000 10.979" Properties=species:S:1:pos:R:3 pbc="T T T"
Li 5.512 3.714 8.235
Li 3.478 1.214 10.421
Li 3.653 -1.214 4.931
Li 7.546 1.214 6.048
Li 7.721 -1.214 0.559
Li 5.687 -3.714 2.745
Mn 5.568 3.874 0.683
Mn 3.578 1.967 2.745
Mn 5.807 3.874 4.807
Mn 3.840 1.502 6.196
Mn 4.015 -1.502 0.706
Mn 7.797 1.967 2.745
Mn 3.402 -1.967 8.234
Mn 7.183 1.502 10.273
Mn 7.359 -1.502 4.783
Mn 5.392 -3.874 6.172
Mn 7.621 -1.967 8.235
Mn 5.631 -3.874 10.297
F 1.849 1.945 9.811
F 3.704 3.288 4.681
F 5.383 4.868 9.748
F 5.641 4.868 6.721
F 3.845 2.771 7.893
F 5.687 2.753 2.745
F 3.639 0.474 1.278
F 5.171 2.056 10.525
F 3.807 0.566 4.268
F 5.852 2.056 5.945
F 7.670 3.288 0.809
F 3.464 -0.474 6.767
F 2.024 -1.945 4.321
F 7.178 2.771 8.576
F 3.631 -0.566 9.757
F 7.568 0.566 1.222
F 4.021 -2.771 2.403
F 9.175 1.945 6.658
F 7.735 0.474 4.212
F 3.529 -3.288 10.171
F 5.347 -2.056 5.035
F 7.392 -0.566 6.712
F 6.028 -2.056 0.455
F 7.559 -0.474 9.702
F 5.512 -2.753 8.235
F 7.354 -2.771 3.086
F 5.558 -4.868 4.259
F 5.816 -4.868 1.231
F 7.495 -3.288 6.298
F 9.350 -1.945 1.168
```

Properties
energy relative to the lowest polymorph listed for this composition = 0.00 kJ/mol of atoms
crystal system = monoclinic

---

Record 2
LiMn2F5 | PBE+U | relaxed

The structure in extended XYZ format:
```
16
Lattice="6.212 -2.607 0.000 6.212 2.607 0.000 -0.323 0.000 5.481" Properties=species:S:1:pos:R:3 pbc="T T T"
Li 3.106 1.304 0.000
Li 2.944 -1.304 2.740
Mn 4.812 1.390 2.458
Mn 7.451 1.390 0.282
Mn 4.650 -1.390 5.199
Mn 7.289 -1.390 3.023
F 5.970 2.328 4.111
F 2.550 0.365 1.749
F 2.388 -0.365 4.490
F 5.008 0.578 0.490
F 7.254 0.578 2.250
F 4.846 -0.578 3.231
F 7.093 -0.578 4.991
F 9.712 0.365 0.991
F 9.551 -0.365 3.732
F 6.131 -2.328 1.370
```

Properties
energy relative to the lowest polymorph listed for this composition = 1.75 kJ/mol of atoms
crystal system = monoclinic

---

Record 3
LiMnF5 | PBE+U | relaxed

The structure in extended XYZ format:
```
28
Lattice="7.615 0.000 0.000 0.000 7.098 0.000 0.000 0.000 6.864" Properties=species:S:1:pos:R:3 pbc="T T T"
Li 0.130 1.775 1.707
Li 3.678 5.324 5.139
Li 3.937 1.775 1.725
Li 7.485 5.324 5.158
Mn 0.910 5.324 1.737
Mn 2.897 1.775 5.169
Mn 4.717 5.324 1.695
Mn 6.705 1.775 5.128
F 0.880 5.324 6.783
F 0.932 0.043 1.743
F 0.932 3.506 1.743
F 0.951 5.324 3.559
F 0.983 1.775 5.090
F 2.824 5.324 1.658
F 2.856 1.775 0.126
F 2.875 3.592 5.175
F 2.875 7.055 5.175
F 2.928 1.775 3.350
F 4.687 5.324 3.514
F 4.740 0.043 1.690
F 4.740 3.506 1.690
F 4.759 5.324 6.738
F 4.791 1.775 5.206
F 6.631 5.324 1.774
F 6.663 1.775 3.306
F 6.682 3.592 5.122
F 6.682 7.055 5.122
F 6.735 1.775 0.082
```

Properties
energy relative to the lowest polymorph listed for this composition = 0.51 kJ/mol of atoms
crystal system = orthorhombic

---

Record 4
LiMnF3 | PBE+U | relaxed

The structure in extended XYZ format:
```
20
Lattice="6.208 0.000 0.000 0.000 6.208 0.000 0.000 0.000 6.208" Properties=species:S:1:pos:R:3 pbc="T T T"
Li 0.557 0.557 0.557
Li 2.547 5.651 3.661
Li 3.661 2.547 5.651
Li 5.651 3.661 2.547
Mn 0.877 3.982 5.331
Mn 2.227 2.227 2.227
Mn 3.982 5.331 0.877
Mn 5.331 0.877 3.982
F 0.110 1.663 2.290
F 0.814 6.099 4.767
F 1.441 3.918 3.214
F 1.663 2.290 0.110
F 2.290 0.110 1.663
F 2.994 4.545 5.395
F 3.214 1.441 3.918
F 3.918 3.214 1.441
F 4.545 5.395 2.994
F 4.767 0.814 6.099
F 5.395 2.994 4.545
F 6.099 4.767 0.814
```

Properties
energy relative to the lowest polymorph listed for this composition = 2.36 kJ/mol of atoms
crystal system = cubic

---

Record 5
Li3MnF6 | PBE+U | relaxed

The structure in extended XYZ format:
```
30
Lattice="4.860 0.000 0.000 -0.048 8.473 0.000 -0.061 -4.211 7.685" Properties=species:S:1:pos:R:3 pbc="T T T"
Li 0.000 0.000 0.000
Li -0.054 0.144 4.994
Li -0.030 -2.654 5.043
Li -0.002 4.403 2.750
Li 0.029 5.978 0.080
Li 2.350 -0.065 5.425
Li 2.445 0.319 0.029
Li 2.444 4.142 2.276
Li 4.805 1.588 2.765
Mn 0.002 2.968 0.041
Mn 2.328 2.983 5.158
Mn 2.477 -1.273 2.603
F 0.945 0.135 6.881
F 0.975 -2.640 6.954
F 1.034 2.986 1.848
F 1.139 3.103 6.926
F 1.203 1.572 4.462
F 1.231 -1.199 4.349
F 1.219 4.300 4.331
F 1.325 5.776 1.880
F 1.404 0.051 1.766
F 3.415 1.599 5.881
F 3.415 4.340 6.015
F 3.573 0.081 3.462
F 3.550 5.826 3.304
F 3.569 3.078 3.414
F 3.631 7.307 0.855
F 3.758 -1.217 5.927
F 3.848 1.567 0.822
F 3.841 4.349 0.876
```

Properties
energy relative to the lowest polymorph listed for this composition = 3.43 kJ/mol of atoms
crystal system = triclinic

---

Record 6
LiMn2F5 | PBE+U | relaxed

The structure in extended XYZ format:
```
32
Lattice="7.337 -3.347 0.000 7.337 3.347 0.000 -5.043 0.000 8.758" Properties=species:S:1:pos:R:3 pbc="T T T"
Li 1.167 0.756 2.790
Li -1.355 -0.756 7.169
Li 10.985 0.756 1.589
Li 8.464 -0.756 5.968
Mn 4.005 1.858 4.502
Mn 4.498 0.913 1.303
Mn 3.104 1.858 8.635
Mn 1.977 -0.913 5.682
Mn 7.654 0.913 3.076
Mn 6.526 -1.858 0.123
Mn 5.132 -0.913 7.455
Mn 5.626 -1.858 4.256
F 0.406 0.174 1.208
F -2.115 -0.174 5.587
F -1.915 0.535 8.414
F 2.997 1.066 2.771
F 2.358 1.203 5.628
F 0.606 -0.535 4.035
F 6.578 0.869 0.897
F 5.574 0.869 3.483
F 4.751 1.203 7.509
F 0.475 -1.066 7.150
F 9.155 1.066 1.608
F 4.880 -1.203 1.249
F 4.056 -0.869 5.276
F 3.053 -0.869 7.862
F 9.025 0.535 4.723
F 7.272 -1.203 3.130
F 6.634 -1.066 5.987
F 11.546 -0.535 0.344
F 11.746 0.174 3.171
F 9.225 -0.174 7.550
```

Properties
energy relative to the lowest polymorph listed for this composition = 2.78 kJ/mol of atoms
crystal system = monoclinic

---

Record 7
Li2MnF6 | PBE+U | relaxed

The structure in extended XYZ format:
```
36
Lattice="4.988 0.000 0.000 0.000 4.634 0.000 -0.006 0.000 16.885" Properties=species:S:1:pos:R:3 pbc="T T T"
Li 1.225 0.046 7.549
Li 1.222 2.271 15.991
Li 1.234 2.383 4.584
Li 1.231 4.568 13.027
Li 3.751 0.066 3.858
Li 3.748 2.251 12.301
Li 3.760 2.363 0.894
Li 3.757 4.588 9.336
Mn 1.260 0.043 2.024
Mn 1.257 2.274 10.467
Mn 3.725 2.360 6.418
Mn 3.722 4.591 14.861
F 0.228 1.026 14.756
F 0.231 1.291 6.313
F 0.440 1.055 3.365
F 0.437 1.262 11.807
F 0.490 1.132 0.755
F 0.487 1.185 9.198
F 2.017 3.387 9.223
F 2.020 3.564 0.780
F 2.073 3.257 11.826
F 2.076 3.694 3.383
F 2.231 3.434 6.332
F 2.228 3.517 14.775
F 2.755 1.117 2.110
F 2.751 1.200 10.553
F 2.906 0.940 13.502
F 2.909 1.377 5.060
F 2.962 1.070 16.105
F 2.965 1.247 7.663
F 4.495 3.449 7.687
F 4.492 3.502 16.130
F 4.545 3.372 5.078
F 4.542 3.579 13.520
F 4.751 3.343 10.572
F 4.754 3.608 2.130
```

Properties
energy relative to the lowest polymorph listed for this composition = 0.81 kJ/mol of atoms
crystal system = monoclinic

---

Record 8
LiMnF3 | PBE+U | relaxed

The structure in extended XYZ format:
```
20
Lattice="5.466 0.000 0.000 0.000 7.962 0.000 0.000 0.000 5.383" Properties=species:S:1:pos:R:3 pbc="T T T"
Li 0.114 1.991 0.078
Li 2.619 5.972 2.769
Li 2.847 1.991 2.613
Li 5.352 5.972 5.305
Mn 0.000 0.000 2.691
Mn 0.000 3.981 2.691
Mn 2.733 0.000 0.000
Mn 2.733 3.981 0.000
F 0.584 5.972 3.454
F 0.895 4.593 0.856
F 0.895 7.351 0.856
F 1.838 0.612 3.547
F 1.838 3.369 3.547
F 2.148 1.991 0.762
F 3.317 5.972 4.621
F 3.628 4.593 1.835
F 3.628 7.351 1.835
F 4.571 0.612 4.527
F 4.571 3.369 4.527
F 4.881 1.991 1.929
```

Properties
energy relative to the lowest polymorph listed for this composition = 2.19 kJ/mol of atoms
crystal system = orthorhombic

---

Record 9
Li3MnF6 | PBE+U | relaxed

The structure in extended XYZ format:
```
10
Lattice="2.471 -4.352 0.000 2.471 4.352 0.000 -0.141 0.000 4.984" Properties=species:S:1:pos:R:3 pbc="T T T"
Li 0.000 0.000 0.000
Li 2.471 1.556 0.000
Li 2.471 -1.556 0.000
Mn -0.071 0.000 2.492
F 0.703 1.322 3.858
F 1.408 0.000 1.343
F 0.703 -1.322 3.858
F 4.098 1.322 1.126
F 3.393 0.000 3.641
F 4.098 -1.322 1.126
```

Properties
energy relative to the lowest polymorph listed for this composition = 8.77 kJ/mol of atoms
crystal system = monoclinic

---

Record 10
LiMnF3 | PBE+U | relaxed

The structure in extended XYZ format:
```
10
Lattice="2.699 1.558 4.927 -2.699 1.558 4.927 0.000 -3.116 4.927" Properties=species:S:1:pos:R:3 pbc="T T T"
Li 0.000 0.000 3.695
Li 0.000 0.000 11.085
Mn 0.000 0.000 0.000
Mn 0.000 0.000 7.390
F -1.761 0.066 6.159
F -0.938 -1.492 8.622
F 0.823 -1.558 6.159
F -0.823 1.558 8.622
F 0.938 1.492 6.159
F 1.761 -0.066 8.622
```

Properties
energy relative to the lowest polymorph listed for this composition = 1.24 kJ/mol of atoms
crystal system = trigonal

---

Record 11
LiMn2F5 | PBE+U | relaxed

The structure in extended XYZ format:
```
16
Lattice="2.060 -5.268 0.000 2.060 5.268 0.000 0.000 0.000 10.492" Properties=species:S:1:pos:R:3 pbc="T T T"
Li 2.060 3.407 7.869
Li 2.060 -3.407 2.623
Mn 2.060 3.799 0.729
Mn 2.060 3.799 4.517
Mn 2.060 -3.799 5.975
Mn 2.060 -3.799 9.762
F 2.060 4.705 6.461
F 2.060 4.705 9.276
F 2.060 2.785 2.623
F 2.060 2.003 5.952
F 2.060 2.003 9.785
F 2.060 -2.003 0.707
F 2.060 -2.003 4.539
F 2.060 -2.785 7.869
F 2.060 -4.705 1.216
F 2.060 -4.705 4.030
```

Properties
energy relative to the lowest polymorph listed for this composition = 0.56 kJ/mol of atoms
crystal system = orthorhombic

---

Record 12
Li6MnF8 | PBE+U | relaxed

The structure in extended XYZ format:
```
15
Lattice="0.000 4.214 4.214 4.214 0.000 4.214 4.214 4.214 0.000" Properties=species:S:1:pos:R:3 pbc="T T T"
Li 2.107 2.107 0.000
Li 2.107 0.000 2.107
Li 4.214 2.107 2.107
Li 0.000 2.107 2.107
Li 2.107 4.214 2.107
Li 2.107 2.107 4.214
Mn 0.000 0.000 0.000
F 4.214 4.214 2.079
F 4.214 2.079 4.214
F 6.350 4.214 4.214
F 2.107 2.107 2.107
F 6.321 6.321 6.321
F 2.079 4.214 4.214
F 4.214 6.350 4.214
F 4.214 4.214 6.350
```

Properties
E = -5.094 eV/atom
crystal system = cubic